No. 1
Density functional theory data (PBE) for a relaxed structure of Dy7Te2Pd2.

a = 9.4798 Å, b = 9.4798 Å, c = 9.4798 Å
α = 155.89°, β = 118.42°, γ = 67.13°
Fractional positions:
Dy 0.6227 0.3572 0.2655
Dy 0.9084 0.6428 0.2655
Dy 0.0006 0.0000 0.0006
Dy 0.5442 0.1284 0.4158
Dy 0.2874 0.8716 0.4158
Dy 0.9398 0.3166 0.6231
Dy 0.3065 0.6834 0.6231
Te 0.2625 0.5000 0.7625
Te 0.6630 0.0000 0.6630
Pd 0.1654 0.2374 0.9280
Pd 0.6906 0.7626 0.9280

Raw total energy: -5.283 eV per atom
Energy of formation: -0.838 eV/atom



No. 2
Density functional theory data (PBE) for a relaxed structure of NdB4.

a = 7.2384 Å, b = 7.2384 Å, c = 4.1200 Å
α = 90.00°, β = 90.00°, γ = 90.00°
Fractional positions:
Nd 0.1829 0.6829 0.0000
Nd 0.6829 0.8171 0.0000
Nd 0.3171 0.1829 0.0000
Nd 0.8171 0.3171 0.0000
B 0.9120 0.5880 0.5000
B 0.5880 0.0880 0.5000
B 0.4120 0.9120 0.5000
B 0.0880 0.4120 0.5000
B 0.0389 0.1742 0.5000
B 0.1742 0.9611 0.5000
B 0.8258 0.0389 0.5000
B 0.9611 0.8258 0.5000
B 0.4611 0.6742 0.5000
B 0.5389 0.3258 0.5000
B 0.6742 0.5389 0.5000
B 0.3258 0.4611 0.5000
B 0.0000 0.0000 0.2048
B 0.5000 0.5000 0.7952
B 0.0000 0.0000 0.7952
B 0.5000 0.5000 0.2048

Raw total energy: -6.859 eV per atom
Energy of formation: -0.562 eV/atom



No. 3
Density functional theory data (PBE) for a relaxed structure of SmDyMg2.

a = 5.3960 Å, b = 5.3960 Å, c = 5.3960 Å
α = 60.00°, β = 60.00°, γ = 60.00°
Fractional positions:
Sm 0.0000 0.0000 0.0000
Dy 0.5000 0.5000 0.5000
Mg 0.7500 0.7500 0.7500
Mg 0.2500 0.2500 0.2500

Raw total energy: -3.222 eV per atom
Energy of formation: -0.090 eV/atom



No. 4
Density functional theory data (PBE) for a relaxed structure of Nd2Br2O.

a = 4.2697 Å, b = 4.2697 Å, c = 13.6301 Å
α = 90.00°, β = 90.00°, γ = 90.00°
Fractional positions:
Nd 0.5000 0.5000 0.1577
Nd 0.5000 0.5000 0.8423
Br 0.5000 0.5000 0.6428
Br 0.5000 0.5000 0.3572
O 0.5000 0.5000 0.0000

E (MP2020): -4.777 eV/atom
Magnetization: 0.3 μB per formula unit
Raw total energy: -4.639 eV per atom
Energy of formation: -1.225 eV/atom



No. 5
Density functional theory data (PBE) for a relaxed structure of Ag2BiSbTe4.

a = 7.5570 Å, b = 7.5570 Å, c = 7.5570 Å
α = 131.59°, β = 131.59°, γ = 70.87°
Fractional positions:
Ag 0.5000 0.5000 0.0000
Ag 0.2500 0.7500 0.5000
Bi 0.0000 0.0000 0.0000
Sb 0.7500 0.2500 0.5000
Te 0.0002 0.5002 0.5000
Te 0.7457 0.7457 0.0000
Te 0.4998 0.9998 0.5000
Te 0.2543 0.2543 0.0000

E (MP2020): -3.563 eV/atom
Magnetization: 0.0 μB per formula unit
Raw total energy: -3.352 eV per atom
Energy of formation: -0.280 eV/atom



No. 6
Density functional theory data (PBE) for a relaxed structure of SbTeOs.

a = 6.5965 Å, b = 6.6955 Å, c = 6.7751 Å
α = 66.17°, β = 90.00°, γ = 90.00°
Fractional positions:
Sb 0.1396 0.8600 0.8860
Sb 0.6396 0.1400 0.6140
Sb 0.8604 0.1400 0.1140
Sb 0.3604 0.8600 0.3860
Te 0.8648 0.6532 0.6830
Te 0.3648 0.3468 0.8170
Te 0.1352 0.3468 0.3170
Te 0.6352 0.6532 0.1830
Os 0.4985 0.7239 0.7959
Os 0.9985 0.2761 0.7041
Os 0.5015 0.2761 0.2041
Os 0.0015 0.7239 0.2959

Raw total energy: -6.252 eV per atom
Energy of formation: -0.086 eV/atom



No. 7
Density functional theory data (PBE) for a relaxed structure of NaAlSi.

a = 4.1393 Å, b = 4.1393 Å, c = 7.3100 Å
α = 90.00°, β = 90.00°, γ = 90.00°
Fractional positions:
Na 0.0000 0.5000 0.3643
Na 0.5000 0.0000 0.6357
Al 0.0000 0.0000 0.0000
Al 0.5000 0.5000 0.0000
Si 0.0000 0.5000 0.7919
Si 0.5000 0.0000 0.2081

E (MP2020): -3.570 eV/atom
Raw total energy: -3.593 eV per atom
Energy of formation: -0.072 eV/atom



No. 8
Density functional theory data (PBE) for a relaxed structure of Ba2NdPuO6.

a = 6.3111 Å, b = 6.3111 Å, c = 6.3111 Å
α = 60.00°, β = 60.00°, γ = 60.00°
Fractional positions:
Ba 0.7500 0.7500 0.7500
Ba 0.2500 0.2500 0.2500
Nd 0.5000 0.5000 0.5000
Pu 0.0000 0.0000 0.0000
O 0.7610 0.7610 0.2390
O 0.2390 0.2390 0.7610
O 0.7610 0.2390 0.7610
O 0.2390 0.7610 0.2390
O 0.2390 0.7610 0.7610
O 0.7610 0.2390 0.2390

E (MP2020): -8.645 eV/atom
Magnetization: 3.0 μB per formula unit
Raw total energy: -8.233 eV per atom
Energy of formation: -3.389 eV/atom